The following is a PBE-GGA calculation of an optimized crystal structure of DyNiGe2, from Materials Project.

It has space group Cmcm (No. 63), with a = 4.117 Å, b = 16.440 Å, c = 4.226 Å, α = 90.00°, β = 90.00° and γ = 90.00°. Symmetry generates all atoms from Dy at (0.000, 0.109, 0.250), Ni at (0.000, 0.321, 0.250), Ge at (0.000, 0.251, 0.750) and Ge at (0.000, 0.460, 0.250).

The value obtained for the formation energy is -697 meV per atom.